Record 1
CuC32N8F16 | GGA-PBE | relaxed

Cell lengths 4.925, 10.316, 14.931 Å; angles 73.58, 87.83, 82.20 degrees
Space group P-1 (No. 2)
Unique sites:
Cu 0.000 0.000 0.000 (multiplicity 1)
C 0.130 0.232 0.840 (multiplicity 2)
C 0.174 0.897 0.200 (multiplicity 2)
C 0.282 0.971 0.643 (multiplicity 2)
C 0.293 0.345 0.815 (multiplicity 2)
C 0.331 0.444 0.733 (multiplicity 2)
C 0.343 0.907 0.737 (multiplicity 2)
C 0.351 0.925 0.267 (multiplicity 2)
C 0.352 0.467 0.187 (multiplicity 2)
C 0.353 0.222 0.970 (multiplicity 2)
C 0.370 0.081 0.123 (multiplicity 2)
C 0.388 0.567 0.103 (multiplicity 2)
C 0.402 0.086 0.595 (multiplicity 2)
C 0.413 0.861 0.361 (multiplicity 2)
C 0.434 0.339 0.898 (multiplicity 2)
C 0.475 0.041 0.218 (multiplicity 2)
C 0.492 0.461 0.268 (multiplicity 2)
N 0.028 0.794 0.222 (multiplicity 2)
N 0.170 0.162 0.932 (multiplicity 2)
N 0.191 0.993 0.115 (multiplicity 2)
N 0.447 0.185 0.057 (multiplicity 2)
F 0.106 0.921 0.598 (multiplicity 2)
F 0.182 0.374 0.190 (multiplicity 2)
F 0.201 0.453 0.653 (multiplicity 2)
F 0.219 0.797 0.781 (multiplicity 2)
F 0.244 0.570 0.028 (multiplicity 2)
F 0.299 0.752 0.411 (multiplicity 2)
F 0.337 0.145 0.504 (multiplicity 2)
F 0.452 0.363 0.346 (multiplicity 2)



Record 2
CuC3O3F3 | GGA-PBE | relaxed

Cell lengths 13.969, 8.892, 10.370 Å; angles 90.00, 114.89, 90.00 degrees
Space group C2/c (No. 15)
Unique sites:
Cu 0.046 0.120 0.413 (multiplicity 8)
C 0.052 0.320 0.417 (multiplicity 8)
C 0.140 0.067 0.759 (multiplicity 8)
C 0.223 0.190 0.773 (multiplicity 8)
O 0.058 0.449 0.416 (multiplicity 8)
O 0.079 0.028 0.633 (multiplicity 8)
O 0.141 0.024 0.874 (multiplicity 8)
F 0.176 0.329 0.753 (multiplicity 8)
F 0.194 0.310 0.099 (multiplicity 8)
F 0.239 0.326 0.328 (multiplicity 8)



Record 3
FeCu2C12 | GGA-PBE | relaxed

Cell lengths 10.027, 10.027, 10.027 Å; angles 90.00, 90.00, 90.00 degrees
Space group F-43m (No. 216)
Unique sites:
Fe 0.000 0.000 0.000 (multiplicity 4)
Cu 0.000 0.000 0.500 (multiplicity 4)
Cu 0.250 0.250 0.750 (multiplicity 4)
C 0.000 0.000 0.188 (multiplicity 24)
C 0.000 0.000 0.313 (multiplicity 24)



Record 4
Li2FeCuC6N6 | GGA-PBE | relaxed

Cell lengths 10.237, 10.237, 10.237 Å; angles 90.00, 90.00, 90.00 degrees
Space group Fm-3m (No. 225)
Unique sites:
Li 0.250 0.250 0.250 (multiplicity 8)
Fe 0.000 0.000 0.000 (multiplicity 4)
Cu 0.000 0.000 0.500 (multiplicity 4)
C 0.000 0.000 0.182 (multiplicity 24)
N 0.000 0.000 0.298 (multiplicity 24)



Record 5
FeCu2C6N6 | GGA-PBE | relaxed

Cell lengths 10.187, 10.187, 10.187 Å; angles 90.00, 90.00, 90.00 degrees
Space group F-43m (No. 216)
Unique sites:
Fe 0.000 0.000 0.000 (multiplicity 4)
Cu 0.000 0.000 0.500 (multiplicity 4)
Cu 0.250 0.250 0.250 (multiplicity 4)
C 0.000 0.000 0.185 (multiplicity 24)
N 0.000 0.000 0.300 (multiplicity 24)



Record 6
FeCuC6N8 | GGA-PBE | relaxed

Cell lengths 10.196, 10.196, 10.196 Å; angles 90.00, 90.00, 90.00 degrees
Space group Fm-3m (No. 225)
Unique sites:
Fe 0.000 0.000 0.000 (multiplicity 4)
Cu 0.000 0.000 0.500 (multiplicity 4)
C 0.000 0.000 0.187 (multiplicity 24)
N 0.000 0.000 0.301 (multiplicity 24)
N 0.250 0.250 0.250 (multiplicity 8)



Record 7
Fe2Cu3C12N12 | GGA-PBE | relaxed

Cell lengths 7.481, 7.481, 10.586 Å; angles 90.00, 90.00, 90.00 degrees
Space group P-4m2 (No. 115)
Unique sites:
Fe 0.000 0.500 0.247 (multiplicity 2)
Cu 0.000 0.500 0.751 (multiplicity 2)
Cu 0.500 0.500 0.500 (multiplicity 1)
C 0.000 0.500 0.557 (multiplicity 2)
C 0.000 0.500 0.943 (multiplicity 2)
C 0.194 0.308 0.750 (multiplicity 8)
N 0.000 0.500 0.054 (multiplicity 2)
N 0.000 0.500 0.446 (multiplicity 2)
N 0.198 0.305 0.252 (multiplicity 8)



Record 8
Na2FeCuC6N6 | GGA-PBE | relaxed

Cell lengths 7.469, 5.838, 7.877 Å; angles 90.00, 109.97, 90.00 degrees
Space group P2/m (No. 10)
Unique sites:
Na 0.000 0.000 0.000 (multiplicity 1)
Na 0.000 0.000 0.500 (multiplicity 1)
Fe 0.500 0.500 0.000 (multiplicity 1)
Cu 0.500 0.000 0.500 (multiplicity 1)
C 0.235 0.500 0.881 (multiplicity 2)
C 0.475 0.300 0.176 (multiplicity 4)
N 0.069 0.500 0.799 (multiplicity 2)
N 0.460 0.218 0.308 (multiplicity 4)



Record 9
Na2FeCuC6N6 | GGA-PBE | relaxed

Cell lengths 10.247, 10.247, 10.247 Å; angles 90.00, 90.00, 90.00 degrees
Space group Fm-3m (No. 225)
Unique sites:
Na 0.250 0.250 0.250 (multiplicity 8)
Fe 0.000 0.000 0.000 (multiplicity 4)
Cu 0.000 0.000 0.500 (multiplicity 4)
C 0.000 0.000 0.182 (multiplicity 24)
N 0.000 0.000 0.297 (multiplicity 24)



Record 10
Rb2FeCuC6N6 | GGA-PBE | relaxed

Cell lengths 10.314, 10.314, 10.314 Å; angles 90.00, 90.00, 90.00 degrees
Space group Fm-3m (No. 225)
Unique sites:
Rb 0.250 0.250 0.250 (multiplicity 8)
Fe 0.000 0.000 0.000 (multiplicity 4)
Cu 0.000 0.000 0.500 (multiplicity 4)
C 0.000 0.000 0.182 (multiplicity 24)
N 0.000 0.000 0.297 (multiplicity 24)



Record 11
Cu8Ge5C4S16N8 | GGA-PBE | relaxed

Cell lengths 11.473, 11.473, 17.508 Å; angles 90.00, 90.00, 90.00 degrees
Space group P4_2/mmc (No. 131)
Unique sites:
Cu 0.133 0.137 0.091 (multiplicity 16)
Ge 0.000 0.000 0.250 (multiplicity 2)
Ge 0.000 0.371 0.000 (multiplicity 4)
Ge 0.000 0.372 0.500 (multiplicity 4)
C 0.173 0.500 0.258 (multiplicity 8)
S 0.000 0.166 0.181 (multiplicity 8)
S 0.000 0.268 0.390 (multiplicity 8)
S 0.000 0.500 0.098 (multiplicity 4)
S 0.150 0.500 0.500 (multiplicity 4)
S 0.167 0.269 0.000 (multiplicity 8)
N 0.174 0.392 0.257 (multiplicity 16)



Number 1: formation energy from the elements -0.52 eV per atom, spin magnetization 0.93 μB per cell. Number 2: formation energy from the elements -1.46 eV per atom, spin magnetization 0.00 μB per cell. Number 3: formation energy from the elements 1.99 eV per atom, spin magnetization 16.00 μB per cell. Number 4: formation energy from the elements 0.13 eV per atom, spin magnetization 4.00 μB per cell. Number 5: formation energy from the elements 0.54 eV per atom, spin magnetization 8.00 μB per cell. Number 6: formation energy from the elements 0.98 eV per atom, spin magnetization 35.78 μB per cell. Number 7: formation energy from the elements 0.64 eV per atom, spin magnetization 12.92 μB per cell. Number 8: formation energy from the elements 0.14 eV per atom, spin magnetization 1.00 μB per cell. Number 9: formation energy from the elements 0.04 eV per atom, spin magnetization 3.94 μB per cell. Number 10: formation energy from the elements -0.11 eV per atom, spin magnetization 4.00 μB per cell. Number 11: formation energy from the elements -0.01 eV per atom, spin magnetization 21.80 μB per cell.